(1)
GaPt3: optimized geometry, GGA-PBE.

Properties
Spin magnetization = 0.0 Bohr magnetons per cell

Structure (extended XYZ):
```
16
Lattice="5.549 0.000 0.000 0.000 5.549 0.000 0.000 0.000 7.964" Properties=species:S:1:pos:R:3 pbc="T T T"
Ga 0.000 2.774 6.006
Ga 2.774 0.000 1.958
Ga 0.000 2.774 1.958
Ga 2.774 0.000 6.006
Pt 1.254 1.521 0.000
Pt 4.376 1.602 3.982
Pt 4.028 1.254 0.000
Pt 4.295 4.028 0.000
Pt 2.774 2.774 5.962
Pt 1.602 1.172 3.982
Pt 3.947 4.376 3.982
Pt 1.172 3.947 3.982
Pt 2.774 2.774 2.002
Pt 0.000 0.000 5.962
Pt 0.000 0.000 2.002
Pt 1.521 4.295 0.000
```

---

(2)
CrGa7P8: optimized geometry, GGA-PBE.

Properties
Spin magnetization = 3.0 Bohr magnetons per cell

Structure (extended XYZ):
```
16
Lattice="5.486 0.000 0.000 0.000 5.486 0.000 0.000 0.000 10.989" Properties=species:S:1:pos:R:3 pbc="T T T"
Cr 0.000 0.000 0.000
Ga 2.743 2.743 0.000
Ga 2.743 2.743 5.495
Ga 0.000 0.000 5.495
Ga 2.743 0.000 8.245
Ga 0.000 2.743 2.744
Ga 2.743 0.000 2.744
Ga 0.000 2.743 8.245
P 4.130 1.356 9.628
P 1.356 4.130 9.628
P 4.130 4.130 1.361
P 1.356 1.356 1.361
P 4.115 1.371 4.123
P 1.371 4.115 4.123
P 4.115 4.115 6.867
P 1.371 1.371 6.867
```

---

(3)
Na5Er4Si4O16F: optimized geometry, GGA-PBE.

Properties
Spin magnetization = 0.0 Bohr magnetons per cell

Structure (extended XYZ):
```
30
Lattice="0.458 -3.224 8.000 1.982 6.880 -4.830 -8.503 1.506 0.176" Properties=species:S:1:pos:R:3 pbc="T T T"
Na -4.672 4.791 -1.863
Na -1.356 0.424 5.254
Na -4.004 0.149 2.844
Na -2.094 4.960 0.456
Na 0.000 0.000 0.000
Er -0.941 2.568 2.612
Er -5.008 2.766 0.882
Er 0.902 3.469 -0.281
Er -7.080 1.522 3.478
Si -3.647 3.235 3.609
Si -2.468 1.848 -0.332
Si 0.703 5.625 -2.299
Si -6.714 -0.384 5.712
O -2.619 2.147 4.291
O -3.382 3.109 -0.864
O -0.450 5.245 -1.190
O -5.675 -0.176 4.454
O -6.312 0.892 1.397
O -1.033 2.350 0.283
O 0.677 2.056 4.172
O -5.459 5.026 0.838
O -5.095 2.565 3.210
O 0.215 4.370 1.672
O -0.799 0.314 2.639
O -6.447 3.075 -0.830
O -2.998 3.623 2.139
O -3.393 1.048 0.781
O -6.443 6.296 -1.681
O 0.708 -0.643 5.451
F 1.220 1.828 1.585
```

---

(4)
EuMn2As2: optimized geometry, GGA-PBE.

Properties
Spin magnetization = 12.1 Bohr magnetons per cell

Structure (extended XYZ):
```
5
Lattice="2.007 -3.477 0.000 2.007 3.477 0.000 0.000 0.000 7.125" Properties=species:S:1:pos:R:3 pbc="T T T"
Eu 0.000 0.000 0.000
Mn 2.007 -1.159 2.748
Mn 2.007 1.159 4.377
As 2.007 -1.159 5.164
As 2.007 1.159 1.960
```

---

(5)
SbNO: optimized geometry, GGA-PBE.

Properties
Spin magnetization = 0.0 Bohr magnetons per cell

Structure (extended XYZ):
```
6
Lattice="-6.076 1.828 6.087 -3.359 -0.654 8.099 1.680 2.693 1.052" Properties=species:S:1:pos:R:3 pbc="T T T"
Sb -6.164 3.617 12.782
Sb -1.591 0.249 2.456
N -3.600 1.851 7.142
N -4.156 2.016 8.096
O -6.616 0.944 10.096
O -1.139 2.922 5.141
```

---

(6)
Li2AgSb: optimized geometry, GGA-PBE.

Properties
Piezoelectric modulus e_max = 0.6 C/m2

Structure (extended XYZ):
```
4
Lattice="-3.330 -3.330 0.000 -3.330 0.000 -3.330 0.000 -3.330 -3.330" Properties=species:S:1:pos:R:3 pbc="T T T"
Li -4.996 -4.996 -4.996
Li -3.330 -3.330 -3.330
Ag -1.665 -1.665 -1.665
Sb 0.000 0.000 0.000
```

---

(7)
ZnCu2P2O8: optimized geometry, GGA-PBE.

Properties
Spin magnetization = 8.0 Bohr magnetons per cell

Structure (extended XYZ):
```
52
Lattice="-7.647 -3.879 -3.213 -3.829 -6.925 -4.606 -6.625 -11.955 7.995" Properties=species:S:1:pos:R:3 pbc="T T T"
Zn -4.243 -6.035 -2.144
Zn -9.012 -11.969 -2.236
Zn -9.088 -10.789 2.412
Zn -13.858 -16.723 2.321
Cu -6.205 -7.592 -4.774
Cu -6.780 -10.629 0.295
Cu -11.896 -15.167 4.950
Cu -1.915 -3.463 -2.303
Cu -11.321 -12.129 -0.119
Cu -11.265 -13.922 2.291
Cu -6.835 -8.837 -2.114
Cu -7.136 -7.917 2.391
P -8.244 -10.002 -4.723
P -9.659 -9.395 -0.492
P -9.856 -12.756 4.900
P -10.733 -17.159 2.689
P -13.209 -14.661 -0.123
P -4.892 -8.097 0.299
P -8.442 -13.364 0.668
P -7.368 -5.600 -2.513
O -8.572 -13.610 5.074
O -6.025 -4.812 -2.282
O -5.757 -7.236 1.258
O -8.871 -9.540 0.839
O -14.241 -19.365 1.738
O -8.790 -8.967 -1.649
O -7.682 -5.832 -4.016
O -13.355 -14.992 3.539
O -9.230 -13.218 -0.663
O -10.290 -10.750 -0.982
O -11.008 -13.586 4.194
O -14.025 -15.539 0.803
O -12.076 -17.946 2.458
O -7.014 -11.432 -1.563
O -9.529 -9.148 -4.898
O -7.092 -9.173 -4.018
O -8.548 -11.289 -3.984
O -10.418 -16.926 4.192
O -5.781 -9.137 -0.502
O -4.076 -7.220 -0.627
O -11.086 -11.327 1.740
O -11.586 -12.864 -2.019
O -4.745 -7.767 -3.363
O -10.937 -15.874 1.923
O -7.811 -12.008 1.158
O -12.344 -15.523 -1.082
O -9.553 -11.470 4.160
O -6.515 -9.895 2.195
O -3.860 -3.393 -1.562
O -7.164 -6.885 -1.747
O -9.311 -13.792 1.825
O -12.319 -13.622 0.678
```

---

(8)
Sr2B5HO10: optimized geometry, GGA-PBE.

Properties
Spin magnetization = 0.0 Bohr magnetons per cell

Structure (extended XYZ):
```
72
Lattice="-8.135 -1.655 -1.948 1.910 -5.126 -3.620 -0.700 -9.364 10.879" Properties=species:S:1:pos:R:3 pbc="T T T"
Sr -4.516 -4.568 -1.824
Sr -0.564 -6.591 2.053
Sr -2.409 -11.577 7.135
Sr -6.361 -9.555 3.257
Sr -2.437 -8.267 -1.462
Sr -8.205 -4.024 0.360
Sr -4.489 -7.879 6.773
Sr 1.280 -12.122 4.951
B -6.202 -5.967 2.059
B -0.772 -5.577 -2.283
B -0.724 -10.179 3.252
B -6.154 -10.568 7.594
B -2.010 -4.680 -0.332
B -6.035 -7.082 -0.148
B -4.915 -11.465 5.643
B -0.891 -9.064 5.459
B -4.652 -14.055 5.864
B -1.537 -6.551 5.146
B -2.274 -2.090 -0.554
B -5.388 -9.594 0.165
B -6.796 -6.787 4.408
B -1.239 -14.195 6.160
B -0.130 -9.359 0.903
B -5.686 -1.950 -0.850
B -3.918 -6.107 0.859
B 0.526 -4.709 -0.225
B -3.007 -10.039 4.452
B -7.452 -11.436 5.536
H 0.662 -2.708 -0.802
H -3.317 -7.958 1.612
H -7.588 -13.437 6.113
H -3.609 -8.188 3.699
O -1.954 -5.672 -1.421
O -6.831 -6.241 0.764
O -4.971 -10.473 6.732
O -0.095 -9.905 4.547
O -7.001 -4.954 -2.137
O -2.882 -7.183 1.216
O 0.076 -11.192 7.447
O -4.044 -8.963 4.095
O -4.765 -5.780 1.998
O 0.449 -5.224 -1.585
O -2.161 -10.366 3.313
O -7.375 -10.921 6.896
O -3.192 -4.873 0.498
O -6.713 -7.268 -1.424
O -3.734 -11.273 4.813
O -0.212 -8.878 6.735
O -4.709 -12.813 6.413
O -0.885 -7.673 4.740
O -2.216 -3.333 -1.102
O -6.041 -8.473 0.571
O -0.792 -4.625 0.459
O -4.670 -6.611 -0.321
O -6.134 -11.520 4.852
O -2.256 -9.534 5.632
O -4.895 -9.766 -1.097
O -2.483 -1.861 0.776
O -2.030 -6.380 6.408
O -4.443 -14.285 4.534
O -5.762 -2.964 0.028
O -0.185 -8.372 -0.006
O -1.163 -13.182 5.283
O -6.741 -7.774 5.317
O -6.559 -7.020 3.064
O -1.017 -4.647 -3.432
O -0.367 -9.126 2.247
O -5.909 -11.499 8.743
O -4.143 -5.748 -4.109
O -1.691 -5.565 4.158
O -2.783 -10.398 9.420
O -5.235 -10.581 1.153
```

---

(9)
Li2SnSe3: optimized geometry, GGA-PBE.

Properties
Piezoelectric modulus e_max = 0.6 C/m2

Structure (extended XYZ):
```
12
Lattice="-6.317 -2.504 -2.821 -1.032 -0.064 -7.284 0.258 -7.109 -3.581" Properties=species:S:1:pos:R:3 pbc="T T T"
Li -2.728 -5.638 -7.093
Li -3.541 -2.400 -4.724
Li -0.256 -4.459 -3.834
Li -1.343 -1.347 -1.234
Sn -4.966 -6.409 -10.374
Sn -5.964 -3.256 -7.851
Se -6.808 -7.951 -11.487
Se -6.130 -4.024 -10.378
Se -4.483 -7.234 -8.048
Se -3.547 -3.188 -7.157
Se -1.985 -6.108 -4.671
Se -1.221 -2.141 -3.635
```

---

(10)
SmSi2Au2: optimized geometry, GGA-PBE.

Structure (extended XYZ):
```
5
Lattice="-2.153 2.153 5.159 2.153 -2.153 5.159 2.153 2.153 -5.159" Properties=species:S:1:pos:R:3 pbc="T T T"
Sm 0.000 0.000 0.000
Si 0.000 0.000 6.322
Si 0.000 0.000 3.996
Au 0.000 2.153 2.579
Au 2.153 0.000 2.579
```

---

(11)
MgFe2Cu6SnS8: optimized geometry, GGA-PBE.

Properties
Spin magnetization = 6.9 Bohr magnetons per cell
Distance to the lowest polymorph of the same formula = 42 meV/atom

Structure (extended XYZ):
```
18
Lattice="-2.420 3.816 -3.429 0.650 -4.830 -5.839 -6.851 -2.886 1.625" Properties=species:S:1:pos:R:3 pbc="T T T"
Mg -7.411 -5.808 -5.929
Fe -4.310 -1.951 -3.821
Fe -5.521 -0.042 -5.536
Cu -5.813 -3.821 -4.843
Cu -3.486 -1.351 0.727
Cu -2.491 -2.420 -5.630
Cu -2.808 -0.080 -2.801
Cu -6.129 -1.478 -2.013
Cu -2.037 1.308 -6.264
Sn -2.421 3.815 -3.429
S -6.054 -4.142 -7.156
S -3.014 -2.861 -7.877
S -7.333 -3.185 -0.939
S -3.274 -0.271 -5.095
S -3.531 -4.099 -4.354
S -3.847 -1.761 -1.528
S -7.044 -5.328 -3.528
S -6.590 -1.668 -4.309
```

---

(12)
Ca2TaCuO6: optimized geometry, GGA-PBE.

Properties
Spin magnetization = 1.4 Bohr magnetons per cell

Structure (extended XYZ):
```
20
Lattice="-4.230 -2.195 -6.040 -4.014 -1.568 3.380 -2.607 5.073 -0.018" Properties=species:S:1:pos:R:3 pbc="T T T"
Ca -7.220 -2.943 -1.225
Ca -6.688 0.460 -2.833
Ca -4.162 0.850 0.156
Ca -3.631 4.253 -1.453
Ta -1.304 2.537 -0.009
Ta -3.418 1.439 -3.029
Cu -2.007 -0.784 1.690
Cu -4.122 -1.881 -1.330
O -3.258 -0.296 -2.050
O -6.021 -0.734 -0.878
O -7.593 1.607 -0.628
O -3.113 2.935 0.652
O -6.059 0.712 1.534
O -4.829 2.045 -1.799
O -7.738 -1.624 -3.329
O -1.541 0.595 0.401
O -7.332 2.654 -3.180
O -9.310 0.716 -3.079
O -3.519 -1.343 0.502
O -4.791 0.599 -4.212
```

---

(13)
Sc5As3: optimized geometry, GGA-PBE.

Structure (extended XYZ):
```
32
Lattice="-3.911 2.635 5.525 -6.557 0.495 -4.878 -2.821 -10.011 2.777" Properties=species:S:1:pos:R:3 pbc="T T T"
Sc -9.577 1.889 0.042
Sc -2.761 -3.456 2.641
Sc -6.305 -8.575 1.454
Sc -7.937 -3.621 2.711
Sc -3.713 -8.771 3.382
Sc -10.529 -3.426 0.783
Sc -6.985 1.693 1.970
Sc -5.353 -3.261 0.713
Sc -6.198 -1.426 -2.120
Sc -5.026 -0.891 3.230
Sc -7.091 -5.456 5.544
Sc -8.263 -5.991 0.194
Sc -6.767 1.569 -1.051
Sc -6.832 -2.287 5.516
Sc -6.522 -8.450 4.475
Sc -6.458 -4.595 -2.092
Sc -8.287 -0.852 0.746
Sc -2.809 -1.552 0.183
Sc -5.003 -6.029 2.678
Sc -10.481 -5.330 3.242
As -7.910 -3.361 -0.014
As -5.275 2.365 3.896
As -5.379 -3.520 3.438
As -8.014 -9.247 -0.472
As -7.928 -0.563 3.592
As -5.403 -0.335 0.495
As -2.214 -6.556 2.174
As -11.034 -6.309 0.588
As -5.362 -6.319 -0.167
As -7.886 -6.547 2.929
As -11.075 -0.326 1.250
As -2.255 -0.573 2.837
```

---

(14)
YSi2Ir2: optimized geometry, GGA-PBE.

Properties
Spin magnetization = 0.0 Bohr magnetons per cell

Structure (extended XYZ):
```
5
Lattice="5.343 1.172 -1.890 1.858 5.476 0.217 -2.534 -3.794 3.560" Properties=species:S:1:pos:R:3 pbc="T T T"
Y 0.000 0.000 0.000
Si 3.205 0.351 0.417
Si 1.462 2.503 1.470
Ir 4.545 4.197 -1.056
Ir 2.656 2.452 -0.617
```

---

(15)
Y4UPd15: optimized geometry, GGA-PBE.

Structure (extended XYZ):
```
20
Lattice="-2.241 1.881 2.929 2.878 -0.958 2.817 9.813 17.850 -3.954" Properties=species:S:1:pos:R:3 pbc="T T T"
Y 1.996 3.631 -0.804
Y 3.934 7.155 -1.585
Y 5.880 10.695 -2.369
Y 7.817 14.219 -3.150
U 0.000 0.000 0.000
Pd 0.319 0.461 2.873
Pd 2.270 4.011 2.087
Pd 4.244 7.602 1.291
Pd 6.206 11.170 0.501
Pd 8.181 14.762 -0.295
Pd -0.178 2.655 1.085
Pd 1.820 6.290 0.280
Pd 3.786 9.865 -0.512
Pd 5.752 13.441 -1.305
Pd 7.751 17.076 -2.110
Pd 2.381 1.235 1.029
Pd 4.380 4.870 0.224
Pd 6.346 8.446 -0.568
Pd 8.312 12.021 -1.360
Pd 10.310 15.657 -2.166
```

---

Number 1: total energy -5.750 eV/atom, energy relative to the elements -0.439 eV per atom. Number 2: total energy -4.947 eV/atom, energy relative to the elements -0.312 eV per atom. Number 3: total energy -7.204 eV/atom, energy relative to the elements -3.330 eV per atom. Number 4: total energy -8.095 eV/atom, energy relative to the elements -0.515 eV per atom. Number 5: total energy -6.385 eV/atom, energy relative to the elements -0.810 eV per atom. Number 6: total energy -3.153 eV/atom, energy relative to the elements -0.506 eV per atom. Number 7: total energy -6.168 eV/atom, energy relative to the elements -1.985 eV per atom. Number 8: total energy -7.549 eV/atom, energy relative to the elements -2.951 eV per atom. Number 9: total energy -3.883 eV/atom, energy relative to the elements -1.066 eV per atom. Number 10: total energy -5.023 eV/atom, energy relative to the elements -0.599 eV per atom. Number 11: total energy -4.735 eV/atom, energy relative to the elements -0.501 eV per atom. Number 12: total energy -7.323 eV/atom, energy relative to the elements -2.770 eV per atom. Number 13: total energy -6.817 eV/atom, energy relative to the elements -1.113 eV per atom. Number 14: total energy -7.897 eV/atom, energy relative to the elements -0.898 eV per atom. Number 15: total energy -6.560 eV/atom, energy relative to the elements -0.817 eV per atom.